Record 1
VASP calculation (PBE) on a relaxed structure of AlCdSbTe.

```
4
Lattice="7.585 -2.259 0.000 7.585 2.259 0.000 6.912 0.000 3.854" Properties=species:S:1:pos:R:3 pbc="T T T"
Sb 2.855 0.000 0.498
Te 13.650 0.000 2.383
Cd 0.086 0.000 0.015
Al 11.011 0.000 1.922
```

E_form (meV/atom): -392.2
Mass density (g cm⁻³): 4.888
Uncorrected energy (eV/atom): -3.2719
SG: R3m
MP2020-corrected energy (Ry per atom): -0.248
Spin magnetization (Bohr magnetons per cell): 0.0

***

Record 2
VASP calculation (PBE) on a relaxed structure of Ti6Tl5AgSe27.

```
78
Lattice="-11.030 0.127 7.621 2.039 -10.016 -8.676 6.763 -7.207 9.909" Properties=species:S:1:pos:R:3 pbc="T T T"
Se -1.051 -10.600 8.084
Se -2.070 -11.737 3.007
Se 0.127 -6.846 10.009
Se -2.077 -14.339 8.609
Se -7.102 -4.319 5.237
Se 2.311 -12.225 7.332
Se -4.571 -5.116 -0.184
Se -4.012 -12.272 6.108
Se -2.592 -8.425 0.834
Se 4.513 -8.757 5.690
Se 4.341 -8.739 0.982
Se -5.361 -5.629 9.678
Se -4.023 -9.927 5.639
Se 3.531 -9.892 3.810
Se 4.720 -14.303 1.515
Se -5.354 -6.191 2.682
Se -0.236 -10.455 -2.250
Se -7.486 -3.851 7.565
Se -1.538 -3.082 4.064
Se 3.216 -15.163 4.578
Se -3.430 -1.643 1.393
Se -0.955 -8.902 4.477
Se 0.130 -2.980 0.155
Se 2.151 -4.800 2.778
Se -3.100 -4.107 7.047
Se 3.099 -12.088 -0.777
Se -4.392 -11.564 2.324
Se 1.453 -9.859 -5.752
Se -5.311 -0.269 3.846
Se 3.230 -12.004 -3.198
Se -5.282 -7.971 -1.962
Se 2.792 -12.976 2.070
Se -0.469 -8.447 -5.593
Se -8.802 -1.873 4.893
Se -5.475 -5.461 12.060
Se -9.711 -4.833 3.530
Se -2.753 -7.316 4.476
Se -6.041 -7.000 6.950
Se -3.861 -7.479 14.817
Se 5.793 -11.987 5.129
Se -3.622 -8.806 11.143
Se 0.234 -13.530 0.300
Se 1.206 -6.704 -0.507
Se -6.061 -9.703 -0.509
Se -0.255 -5.268 6.457
Se -0.646 -13.404 5.831
Se 2.087 -5.478 6.886
Se -7.536 -6.516 0.651
Se 2.417 -7.160 3.273
Se 0.494 -11.709 4.561
Se -0.965 -3.738 -1.830
Se 4.005 -7.217 9.638
Se -5.602 -8.579 2.840
Se -3.941 -3.114 3.955
Tl 0.614 -9.758 1.051
Tl 2.528 -8.848 -2.892
Tl -2.325 -6.060 12.332
Tl -1.866 -7.116 -2.582
Tl -3.874 -11.717 9.275
Tl -0.836 -5.587 1.777
Tl -3.236 -11.234 -0.693
Tl 1.732 -8.559 7.745
Tl -2.840 -7.339 7.805
Tl -0.361 -9.981 11.437
Ti -5.924 -7.734 10.996
Ti 0.997 -12.673 -2.068
Ti 3.221 -6.358 1.007
Ti -0.670 -10.833 -4.729
Ti -4.995 -7.641 0.546
Ti -3.134 -9.438 3.104
Ti 2.232 -6.569 11.412
Ti 1.477 -4.377 -1.498
Ti 0.588 -4.666 8.782
Ti 0.045 -12.884 8.311
Ti -4.116 -9.683 13.480
Ti -1.775 -11.119 5.701
Ag 0.080 -0.085 0.117
Ag 3.462 -3.689 5.072
```

E_form (meV/atom): -956.7
Mass density (g cm⁻³): 5.410
Uncorrected energy (eV/atom): -4.6404
SG: P31c
MP2020-corrected energy (Ry per atom): -0.365
Spin magnetization (Bohr magnetons per cell): 0.0

***

Record 3
VASP calculation (PBE) on a relaxed structure of MgAl4Cu2O8.

```
15
Lattice="-5.022 0.450 3.850 -4.622 -4.336 -0.294 -0.753 -4.159 4.731" Properties=species:S:1:pos:R:3 pbc="T T T"
Al -7.349 -6.007 4.183
Al -5.721 -5.933 6.299
Al -7.518 -3.992 5.928
Al -5.404 -4.182 4.307
O -7.571 -5.859 6.034
O -5.498 -6.045 4.445
O -3.046 -4.010 4.337
O -5.663 -4.069 6.156
O -7.260 -4.142 4.082
O -2.697 -2.087 2.150
O -4.834 -4.092 2.014
O -5.019 -1.879 3.930
Cu -1.300 -1.006 1.036
Cu -9.098 -7.040 7.251
Mg -3.899 -3.017 3.108
```

E_form (meV/atom): -1896.1
Mass density (g cm⁻³): 3.562
Uncorrected energy (eV/atom): -5.8207
SG: F-43m
MP2020-corrected energy (Ry per atom): -0.455
Spin magnetization (Bohr magnetons per cell): 0.0
Energy relative to the lowest polymorph listed for this composition (meV per atom): 694.7

***

Record 4
VASP calculation (PBE) on a relaxed structure of Bi11PO20.

```
32
Lattice="8.810 0.000 0.000 -2.724 8.529 0.000 -3.140 -4.190 7.284" Properties=species:S:1:pos:R:3 pbc="T T T"
O -0.640 0.720 4.160
O 5.128 2.627 0.845
O -2.145 4.746 2.697
O 4.793 -0.674 4.552
O 0.655 0.742 1.192
O 3.523 0.080 0.070
O 6.473 6.947 0.176
O 3.541 0.754 2.758
O 7.288 0.130 0.024
O 1.793 2.583 4.382
O 2.115 0.077 5.485
O 7.510 3.740 0.081
O 0.623 -2.116 5.406
O 2.406 6.515 1.727
O 0.868 4.273 1.925
O -0.633 3.783 4.663
O 3.539 4.771 5.924
O 3.773 3.868 2.859
O -3.982 6.772 3.002
O -2.314 2.004 6.161
Bi 0.681 -0.842 3.604
Bi 3.696 1.382 4.858
Bi -2.694 4.354 5.159
Bi 3.036 1.961 1.085
Bi 2.040 4.660 3.800
Bi 5.917 -0.282 2.726
Bi 0.005 2.039 5.723
Bi 3.059 -1.778 6.269
Bi 0.358 6.500 0.917
Bi 4.951 5.105 1.486
Bi -0.859 3.045 2.096
P -2.692 8.469 0.019
```

E_form (meV/atom): -1682.4
Mass density (g cm⁻³): 8.039
Uncorrected energy (eV/atom): -5.8518
SG: P1
MP2020-corrected energy (Ry per atom): -0.462
Spin magnetization (Bohr magnetons per cell): 0.0

***

- Which value of E_form does entry 4 give?
  -1682.4 meV/atom

***

- What is the formula in the first record?
  AlCdSbTe

***

- What is the formula in the first record?
  AlCdSbTe

***

- What is the spin magnetization in the first record?
  0.0 Bohr magnetons per cell